Entry from the Materials Project: P2H38PtC12N6 after structural relaxation (PBE).

Values from the calculation:
magnetic moment	0.01	μB/cell
uncorrected energy	-314.01	eV/f.u.

abc: 8.235 8.382 10.165
angles: 87.69 73.19 61.00
Fractional positions:
H (0.641, 0.394, 0.813)
H (0.733, 0.519, 0.492)
H (0.148, 0.839, 0.316)
C (0.217, 0.210, 0.975)
H (0.797, 0.056, 0.239)
H (0.399, 0.523, 0.804)
H (0.092, 0.348, 0.982)
N (0.443, 0.759, 0.281)
H (0.020, 0.360, 0.627)
Pt (0.500, 0.000, 0.500)
H (0.559, 0.180, 0.223)
H (0.451, 0.368, 0.930)
N (0.700, 0.891, 0.163)
H (0.807, 0.076, 0.548)
H (0.660, 0.830, 0.562)
H (0.852, 0.161, 0.684)
H (0.359, 0.606, 0.187)
N (0.557, 0.241, 0.719)
H (0.637, 0.458, 0.378)
C (0.763, 0.469, 0.383)
P (0.609, 0.810, 0.304)
H (0.267, 0.481, 0.508)
H (0.340, 0.170, 0.438)
H (0.029, 0.645, 0.189)
H (0.108, 0.668, 0.644)
H (0.363, 0.542, 0.622)
H (0.193, 0.924, 0.452)
H (0.203, 0.944, 0.761)
C (0.783, 0.790, 0.025)
H (0.674, 0.776, 0.992)
H (0.194, 0.026, 0.296)
H (0.549, 0.632, 0.070)
H (0.806, 0.974, 0.704)
H (0.834, 0.867, 0.950)
N (0.200, 0.411, 0.715)
H (0.901, 0.568, 0.740)
N (0.300, 0.109, 0.837)
H (0.601, 0.477, 0.196)
H (0.980, 0.640, 0.373)
C (0.295, 0.938, 0.824)
H (0.908, 0.652, 0.018)
H (0.892, 0.332, 0.356)
H (0.235, 0.912, 0.928)
C (0.014, 0.423, 0.724)
C (0.765, 0.106, 0.661)
H (0.099, 0.432, 0.260)
C (0.705, 0.062, 0.176)
H (0.765, 0.088, 0.072)
C (0.235, 0.894, 0.339)
C (0.237, 0.531, 0.617)
H (0.326, 0.224, 0.008)
H (0.441, 0.820, 0.777)
C (0.986, 0.577, 0.276)
C (0.508, 0.388, 0.822)
C (0.492, 0.612, 0.178)
H (0.971, 0.355, 0.811)
P (0.391, 0.190, 0.696)
H (0.166, 0.133, 0.050)
N (0.800, 0.589, 0.285)